Computed, not measured: crystalline Li2CoNi3O8 at its relaxed geometry at the PBE with a Hubbard U level of DFT.

Properties
The space-group type is P1 (1). The value obtained for the energy above the most stable polymorph in this dataset is 7 meV per atom. Its crystal system is triclinic.

Cell and atoms, written as POSCAR:
```
Li2CoNi3O8
1.0
8.209 0.013 -0.004
0.013 8.096 -0.004
-0.004 -0.002 8.149
Ni O Li Co
12 32 8 4
Cartesian
5.119 7.087 7.104 Ni
7.170 5.061 7.131 Ni
7.182 7.084 5.069 Ni
7.197 1.023 3.037 Ni
3.089 5.073 3.058 Ni
5.135 1.028 1.003 Ni
3.098 3.039 5.105 Ni
5.161 3.052 3.059 Ni
1.033 3.033 7.149 Ni
1.021 5.061 1.033 Ni
1.034 1.001 5.089 Ni
3.065 7.100 1.003 Ni
7.321 7.214 3.134 O
0.895 0.886 3.154 O
5.284 1.149 2.952 O
5.192 6.968 5.213 O
1.130 6.965 1.131 O
3.119 0.888 0.878 O
1.155 1.138 7.030 O
4.983 0.894 7.217 O
3.216 3.158 3.185 O
5.083 4.935 3.179 O
1.174 2.911 5.194 O
7.258 3.166 7.271 O
2.945 6.980 2.946 O
2.949 5.193 1.119 O
7.095 2.927 2.938 O
7.319 4.945 0.941 O
5.286 2.935 1.117 O
3.201 7.207 7.209 O
0.961 7.202 4.955 O
3.021 2.917 7.003 O
7.146 1.153 1.152 O
7.038 6.971 7.016 O
2.974 1.128 5.220 O
5.236 5.187 6.997 O
7.050 5.190 5.169 O
5.023 3.166 5.001 O
0.908 3.163 0.943 O
5.004 7.208 0.873 O
1.098 5.189 2.920 O
7.294 0.894 4.958 O
3.222 4.952 4.983 O
0.909 4.934 7.267 O
4.095 0.014 4.056 Li
6.148 6.085 2.022 Li
2.043 6.060 6.091 Li
2.055 2.019 2.054 Li
0.027 4.060 4.080 Li
8.199 0.017 8.129 Li
6.160 2.026 6.133 Li
4.132 4.050 0.007 Li
3.075 1.015 7.129 Co
1.025 7.082 3.049 Co
7.204 3.048 1.025 Co
5.136 5.068 5.084 Co
```

***

Computed, not measured: crystalline Li3Ti2Ni2O8 at its relaxed geometry at the PBE with a Hubbard U level of DFT.

Properties
The space-group type is C2/m (12). The value obtained for the energy above the most stable polymorph in this dataset is 15 meV per atom. Its crystal system is monoclinic.

Cell and atoms, written as POSCAR:
```
Li3Ti2Ni2O8
1.0
2.935 5.146 0.000
-2.935 5.146 0.000
0.000 3.316 4.835
O Li Ti Ni
8 3 2 2
Cartesian
-1.621 6.001 1.217 O
0.000 4.918 3.655 O
0.000 3.339 1.401 O
0.000 8.690 1.180 O
0.000 10.269 3.435 O
1.621 7.607 3.618 O
1.621 6.001 1.217 O
-1.621 7.607 3.618 O
0.000 6.804 2.418 Li
1.468 2.573 0.000 Li
-1.468 2.573 0.000 Li
0.000 1.658 2.418 Ti
0.000 0.000 0.000 Ti
-1.468 4.231 2.418 Ni
1.468 4.231 2.418 Ni
```

***

Computed, not measured: crystalline AlV4Cu3O12 at its relaxed geometry at the PBE with a Hubbard U level of DFT.

Properties
The space-group type is P1 (1). The value obtained for the energy above the most stable polymorph in this dataset is 0 meV per atom. Its crystal system is triclinic.

Cell and atoms, written as POSCAR:
```
AlV4Cu3O12
1.0
-3.101 -4.213 -3.715
-0.652 -1.862 6.034
-2.599 5.988 -0.776
O Cu Al V
12 3 1 4
Cartesian
-2.000 1.670 0.844 O
-3.968 0.519 2.417 O
-1.815 -0.154 4.283 O
-4.341 -1.676 0.806 O
-4.568 1.097 -0.132 O
-4.751 0.308 -2.952 O
-1.775 -1.073 1.651 O
-3.100 3.461 -0.978 O
-2.537 -0.467 -0.963 O
-3.077 -3.195 -1.241 O
-3.238 -3.427 2.512 O
-3.287 3.346 3.231 O
-1.871 -2.982 1.148 Cu
-2.951 0.960 -2.311 Cu
-4.729 -2.111 -1.041 Cu
-2.844 3.186 5.045 Al
-3.443 -5.055 -0.690 V
-3.146 -0.011 0.730 V
-1.647 -2.125 -1.864 V
-4.287 -1.479 -4.037 V
```

***

Computed, not measured: crystalline Li9Mn2Co5O16 at its relaxed geometry at the PBE with a Hubbard U level of DFT.

Properties
The space-group type is Cm (8). The value obtained for the energy above the most stable polymorph in this dataset is 64 meV per atom. Its crystal system is monoclinic.

Cell and atoms, written as POSCAR:
```
Li9Mn2Co5O16
1.0
1.445 7.646 0.000
-1.445 7.646 0.000
0.000 0.650 13.100
Co Mn O Li
5 2 16 9
Cartesian
0.000 9.663 1.616 Co
0.000 2.455 8.398 Co
0.000 3.942 3.297 Co
0.000 6.149 11.248 Co
0.000 8.079 6.601 Co
0.000 15.898 13.085 Mn
0.000 13.633 4.923 Mn
0.000 3.257 1.268 O
0.000 15.264 11.281 O
0.000 7.243 4.517 O
0.000 10.274 3.621 O
0.000 14.289 6.768 O
0.000 11.285 7.800 O
0.000 1.643 6.144 O
0.000 5.819 9.491 O
0.000 12.618 11.863 O
0.000 13.008 3.073 O
0.000 8.625 8.492 O
0.000 6.384 0.451 O
0.000 9.493 12.703 O
0.000 0.702 1.852 O
0.000 2.833 10.162 O
0.000 4.759 5.324 O
0.000 14.806 9.000 Li
0.000 1.258 4.140 Li
0.000 3.516 12.072 Li
0.000 12.385 0.689 Li
0.000 9.128 10.601 Li
0.000 5.140 7.537 Li
0.000 6.781 2.464 Li
0.000 10.773 5.854 Li
0.000 11.944 9.820 Li
```

***

Computed, not measured: crystalline MgFe3Co2SbP6O24 at its relaxed geometry at the PBE with a Hubbard U level of DFT.

Properties
The space-group type is P1 (1). The value obtained for the energy above the most stable polymorph in this dataset is 4 meV per atom. Its crystal system is triclinic.

Cell and atoms, written as POSCAR:
```
MgFe3Co2SbP6O24
1.0
8.693 -0.182 -0.057
4.474 -7.521 0.044
4.415 -2.510 -7.224
O P Sb Fe Co Mg
24 6 1 3 2 1
Cartesian
4.471 -0.705 -1.329 O
7.661 -6.713 -2.842 O
6.658 -7.441 -0.549 O
4.263 -3.599 -3.695 O
5.774 -2.625 -5.418 O
8.418 -2.505 -5.984 O
14.854 -8.631 -5.110 O
8.098 -2.131 -0.504 O
3.406 -4.175 -0.808 O
9.485 -7.982 -6.655 O
10.887 -2.946 -6.673 O
12.337 -7.127 -6.949 O
9.951 -3.566 -4.385 O
2.353 -1.570 -2.422 O
11.444 -7.888 -4.338 O
5.650 -3.151 -0.155 O
6.377 -2.427 -2.860 O
10.815 -5.784 -3.177 O
6.716 -4.473 -4.152 O
11.870 -7.613 -1.801 O
14.395 -5.712 -6.629 O
8.285 -5.892 -5.661 O
9.240 -4.034 -1.760 O
13.320 -6.458 -3.385 O
8.840 -3.572 -0.363 P
9.895 -2.494 -5.474 P
5.686 -3.297 -3.972 P
8.849 -6.577 -6.953 P
7.499 -7.867 -1.838 P
11.881 -6.878 -3.271 P
6.237 -1.551 -1.107 Sb
6.246 -6.540 -4.545 Fe
11.227 -3.763 -2.639 Fe
11.436 -8.569 -6.108 Fe
4.538 -7.398 0.000 Co
8.830 -5.145 -3.537 Co
7.122 -4.136 -6.197 Mg
```

***

Computed, not measured: crystalline Li2VF6 at its relaxed geometry at the PBE with a Hubbard U level of DFT.

Properties
The space-group type is P1 (1). The value obtained for the energy above the most stable polymorph in this dataset is 20 meV per atom. Its crystal system is triclinic.

Cell and atoms, written as POSCAR:
```
Li2VF6
1.0
-8.330 0.868 -1.659
-3.273 -4.041 -6.837
-2.799 -8.288 5.314
F Li V
36 12 6
Cartesian
-4.656 -6.434 1.297 F
-10.980 -6.639 -2.107 F
-7.955 -3.170 0.470 F
-6.047 -2.141 -1.574 F
-11.139 -4.314 -7.156 F
-9.236 -7.406 3.142 F
-10.112 -4.783 -0.117 F
-8.412 -9.237 -1.530 F
-10.041 -7.809 -0.044 F
-12.538 -8.460 -4.459 F
-8.424 -0.711 -2.738 F
-5.855 -7.762 -0.538 F
-5.930 -4.944 -1.387 F
-7.365 -6.323 1.098 F
-8.058 -4.112 -6.388 F
-11.088 -9.299 -2.064 F
-1.748 -3.029 1.198 F
-6.445 -7.428 3.187 F
-9.617 -8.134 -3.802 F
-3.491 -2.041 -1.131 F
-4.498 -6.710 -2.973 F
-4.838 -8.927 1.677 F
-8.435 -6.575 -1.965 F
-4.957 -3.285 0.514 F
-9.530 -2.510 -4.956 F
-5.874 -10.858 -0.324 F
-4.442 -3.558 -3.106 F
-7.021 -5.135 -4.282 F
-6.893 -2.484 -4.500 F
-5.071 -4.079 -6.242 F
-7.530 -9.001 1.379 F
-3.380 -4.851 -0.963 F
-9.626 -5.144 -4.428 F
-3.160 -7.268 3.855 F
-8.543 -3.609 -2.661 F
-6.509 -8.037 -3.693 F
-6.657 -6.280 -2.647 Li
-12.641 -9.523 -1.010 Li
-9.728 -6.886 -5.240 Li
-9.562 -8.903 1.455 Li
-2.964 -7.145 1.915 Li
-4.344 -6.611 -1.009 Li
-8.034 -2.204 -1.315 Li
-4.920 -0.423 -1.428 Li
-8.003 -5.818 2.888 Li
-4.897 -2.553 -4.753 Li
-2.983 -1.589 0.685 Li
-9.979 -4.840 -2.116 Li
-8.315 -3.786 -4.549 V
-8.329 0.860 -1.654 V
-4.739 -8.192 -4.134 V
-9.636 -8.034 -1.932 V
-4.697 -3.515 -1.306 V
-6.119 -7.631 1.321 V
```

***

Computed, not measured: crystalline Li16Mn15Cu3O36 at its relaxed geometry at the PBE with a Hubbard U level of DFT.

Properties
The space-group type is P1 (1). Its crystal system is triclinic.

Cell and atoms, written as POSCAR:
```
Li16Mn15Cu3O36
1.0
-7.816 -4.945 0.343
-7.455 4.346 0.104
0.323 0.268 -10.269
Li O Mn Cu
16 36 15 3
Cartesian
-6.688 -3.118 -7.709 Li
-3.992 1.508 -7.926 Li
-6.506 2.914 -7.853 Li
-4.107 -1.461 -7.747 Li
-8.390 2.990 -2.028 Li
-5.911 -1.665 -2.039 Li
-11.523 -0.291 -7.684 Li
-5.701 1.339 -2.150 Li
-8.714 -3.450 -1.956 Li
-10.846 1.251 -2.000 Li
-9.033 -1.678 -7.746 Li
-13.621 -0.449 -1.924 Li
-8.415 -0.267 -2.044 Li
-11.016 -1.990 -2.005 Li
-1.462 0.108 -7.945 Li
-8.853 1.222 -7.742 Li
-4.348 -1.947 -0.785 O
-9.244 -1.784 -0.949 O
-3.944 0.234 -3.903 O
-5.966 -3.312 -5.959 O
-5.741 -0.067 -5.836 O
-8.890 3.095 -3.849 O
-6.529 3.051 -1.078 O
-10.921 -0.399 -5.905 O
-6.684 -0.046 -0.994 O
-3.302 -1.509 -5.881 O
-11.583 1.328 -3.725 O
-1.665 0.091 -1.025 O
-11.922 -0.487 -0.718 O
-13.190 -0.223 -8.834 O
-9.277 -3.336 -3.848 O
-5.518 1.818 -9.198 O
-8.437 -3.315 -8.708 O
-5.787 2.784 -6.128 O
-8.447 -1.867 -5.937 O
-0.819 -0.117 -6.171 O
-8.170 2.739 -8.874 O
-3.184 -0.095 -8.979 O
-4.083 1.705 -1.080 O
-9.152 1.453 -0.992 O
-3.297 1.316 -6.148 O
-5.777 -1.820 -8.904 O
-10.778 1.189 -8.782 O
-8.269 1.390 -5.849 O
-10.927 -1.957 -8.694 O
-14.246 -0.448 -3.788 O
-6.419 1.652 -3.895 O
-9.094 -0.110 -3.806 O
-6.624 -1.549 -3.808 O
-8.210 -0.239 -8.941 O
-6.753 -3.134 -0.952 O
-11.750 -1.878 -3.837 O
-7.593 -3.278 -4.899 Mn
-7.454 -0.140 -4.877 Mn
-2.388 0.045 -5.012 Mn
-12.562 -0.384 -4.850 Mn
-10.078 -1.833 -4.894 Mn
-7.566 1.267 0.152 Mn
-4.973 -1.565 -4.825 Mn
-7.674 -1.847 0.221 Mn
-4.860 1.475 -5.017 Mn
-9.950 1.314 -4.800 Mn
-12.352 1.268 -9.901 Mn
-7.347 2.936 -4.984 Mn
-2.197 1.699 -10.211 Mn
-12.777 -1.993 0.365 Mn
-9.759 2.930 -10.020 Mn
-5.096 -0.207 0.149 Cu
-10.166 -0.442 0.261 Cu
-7.506 -4.636 -9.903 Cu
```

***

Computed, not measured: crystalline MgMn5CuO12 at its relaxed geometry at the PBE with a Hubbard U level of DFT.

Properties
The space-group type is P1 (1). The value obtained for the energy above the most stable polymorph in this dataset is 0 meV per atom. Its crystal system is triclinic.

Cell and atoms, written as POSCAR:
```
MgMn5CuO12
1.0
2.565 4.356 -0.316
-2.579 4.362 -0.176
-0.269 -0.581 9.919
Mn O Mg Cu
5 12 1 1
Cartesian
-1.409 3.267 4.823 Mn
-1.417 6.188 4.756 Mn
0.033 2.951 -0.150 Mn
-0.246 5.268 9.393 Mn
1.162 4.733 4.669 Mn
-0.797 1.758 3.768 O
-1.102 3.713 8.697 O
-1.519 5.974 0.713 O
1.478 5.258 8.544 O
-0.557 7.516 3.548 O
1.381 2.321 8.705 O
-0.553 4.730 3.707 O
-1.667 2.886 0.882 O
0.288 3.365 5.718 O
0.533 6.236 5.631 O
0.803 4.541 0.725 O
-2.285 4.747 5.709 O
0.118 6.031 2.144 Mg
-2.541 4.411 -0.144 Cu
```

***

Sequential E_form output: -1.29; -2.39; -1.98; -1.80; -2.28; -3.13; -1.98; -1.78 eV per atom
Sequential VASP energy output: -284.370; -97.991; -136.345; -185.296; -254.300; -288.445; -447.166; -128.085 eV/cell